Record 1
The following is a meta-GGA r2SCAN calculation of a relaxed TeAuCl7 crystal, from the Materials Project.

## Properties
Raw total energy   -247.42 eV per cell
Calculated volume   30.08 A^3/atom

a b c (Å): 7.6459 7.9421 9.1117
angles (deg): 78.55 87.18 88.25
Fractional positions:
Te 0.1920 0.2700 0.2701
Te 0.8080 0.7300 0.7299
Au 0.4227 0.7065 0.0623
Au 0.5773 0.2935 0.9377
Cl 0.0720 0.6358 0.6319
Cl 0.0894 0.0009 0.2561
Cl 0.1319 0.6554 0.0410
Cl 0.2856 0.2511 0.9138
Cl 0.3019 0.1728 0.5056
Cl 0.3948 0.5738 0.3102
Cl 0.4502 0.8372 0.8135
Cl 0.5498 0.1628 0.1865
Cl 0.6052 0.4262 0.6898
Cl 0.6981 0.8272 0.4944
Cl 0.7144 0.7489 0.0862
Cl 0.8681 0.3446 0.9590
Cl 0.9106 0.9991 0.7439
Cl 0.9280 0.3642 0.3681

Record 2
The following is a meta-GGA r2SCAN calculation of a relaxed TlAuCl4 crystal, from the Materials Project.

## Properties
Raw total energy   -264.89 eV per cell
Calculated volume   28.62 A^3/atom

a b c (Å): 6.7466 6.7466 9.8886
angles (deg): 99.98 99.98 51.02
Fractional positions:
Tl 0.2293 0.7707 0.7500
Tl 0.7707 0.2293 0.2500
Au 0.0000 0.5000 0.0000
Au 0.5000 0.0000 0.5000
Cl 0.1879 0.2776 0.6505
Cl 0.1986 0.6832 0.0698
Cl 0.2776 0.1879 0.1505
Cl 0.3168 0.8014 0.4302
Cl 0.6832 0.1986 0.5698
Cl 0.7224 0.8121 0.8495
Cl 0.8014 0.3168 0.9302
Cl 0.8121 0.7224 0.3495

Record 3
The following is a meta-GGA r2SCAN calculation of a relaxed CrAu4 crystal, from the Materials Project.

## Properties
Raw total energy   -217.77 eV per cell
Calculated volume   17.15 A^3/atom

a b c (Å): 5.0190 5.0190 5.0190
angles (deg): 99.49 99.49 132.08
Fractional positions:
Cr 0.0000 0.0000 0.0000
Au 0.2032 0.3976 0.6008
Au 0.3976 0.7968 0.1944
Au 0.6024 0.2032 0.8056
Au 0.7968 0.6024 0.3992

Record 4
The following is a meta-GGA r2SCAN calculation of a relaxed CsAu crystal, from the Materials Project.

## Properties
Raw total energy   -76.41 eV per cell
Calculated volume   39.28 A^3/atom

a b c (Å): 4.2829 4.2829 4.2829
angles (deg): 90.00 90.00 90.00
Fractional positions:
Cs 0.0000 0.0000 0.0000
Au 0.5000 0.5000 0.5000

Question: What is the raw total energy in the first record?
Answer: -247.42 eV per cell

Question: Look up the raw total energy of the second one.
Answer: -264.89 eV per cell